(1)
A geometry-optimized Li3MnB2O6 structure. Source: Materials Project, functional PBE+U.

Unit cell a=7.787 b=8.367 c=8.229 alpha=102.60 beta=106.32 gamma=75.37
Fractional positions:
B: 0.617 0.154 0.985
B: 0.945 0.328 0.010
B: 0.383 0.346 0.515
B: 0.055 0.172 0.490
B: 0.945 0.828 0.510
B: 0.617 0.654 0.485
B: 0.055 0.672 0.990
B: 0.383 0.846 0.015
Li: 0.381 0.046 0.616
Li: 0.283 0.338 0.830
Li: 0.619 0.954 0.384
Li: 0.067 0.583 0.304
Li: 0.067 0.083 0.804
Li: 0.618 0.454 0.884
Li: 0.381 0.546 0.116
Li: 0.717 0.662 0.170
Li: 0.717 0.162 0.670
Li: 0.283 0.838 0.330
Li: 0.933 0.917 0.196
Li: 0.933 0.417 0.696
O: 0.587 0.058 0.827
O: 0.750 0.108 0.127
O: 0.128 0.060 0.363
O: 0.520 0.820 0.520
O: 0.156 0.691 0.157
O: 0.121 0.727 0.540
O: 0.121 0.227 0.041
O: 0.250 0.392 0.373
O: 0.520 0.320 0.020
O: 0.844 0.309 0.843
O: 0.480 0.680 0.980
O: 0.750 0.608 0.627
O: 0.156 0.191 0.657
O: 0.413 0.942 0.173
O: 0.879 0.773 0.959
O: 0.480 0.180 0.480
O: 0.872 0.440 0.137
O: 0.844 0.809 0.343
O: 0.413 0.442 0.673
O: 0.879 0.273 0.459
O: 0.250 0.892 0.873
O: 0.872 0.940 0.637
O: 0.587 0.558 0.327
O: 0.128 0.560 0.863
Mn: 0.277 0.668 0.749
Mn: 0.723 0.831 0.750
Mn: 0.277 0.169 0.249
Mn: 0.723 0.331 0.251

Computed properties:
formation energy from the elements: -242.4 kJ/mol of atoms
distance to the lowest polymorph of the same formula: 20.3 meV/atom
raw total energy: -6.86 eV/atom

***

(2)
A geometry-optimized CsMg6WO8 structure. Source: Materials Project, functional PBE+U.

Unit cell a=4.706 b=4.706 c=9.022 alpha=90.00 beta=90.00 gamma=90.00
Fractional positions:
Cs: 0.000 0.000 0.000
Mg: 0.000 0.000 0.500
Mg: 0.000 0.500 0.270
Mg: 0.000 0.500 0.730
Mg: 0.500 0.000 0.270
Mg: 0.500 0.000 0.730
Mg: 0.500 0.500 0.500
W: 0.500 0.500 0.000
O: 0.000 0.000 0.289
O: 0.000 0.000 0.711
O: 0.000 0.500 0.000
O: 0.000 0.500 0.500
O: 0.500 0.000 0.000
O: 0.500 0.000 0.500
O: 0.500 0.500 0.252
O: 0.500 0.500 0.748

Computed properties:
formation energy from the elements: -199.3 kJ/mol of atoms
distance to the lowest polymorph of the same formula: 0.0 meV/atom
raw total energy: -5.39 eV/atom

***

(3)
A geometry-optimized Li2Ta2W2O13 structure. Source: Materials Project, functional PBE+U.

Unit cell a=7.416 b=7.416 c=7.416 alpha=120.23 beta=119.81 gamma=89.96
Fractional positions:
Li: 0.000 0.231 0.231
Li: 0.000 0.769 0.769
Ta: 0.049 0.805 0.245
Ta: 0.560 0.805 0.755
W: 0.554 0.303 0.749
W: 0.554 0.806 0.251
O: 0.042 0.542 0.500
O: 0.248 0.127 0.499
O: 0.248 0.749 0.121
O: 0.250 0.750 0.500
O: 0.500 0.500 0.000
O: 0.504 0.498 0.635
O: 0.504 0.869 0.006
O: 0.613 0.113 0.500
O: 0.629 0.127 0.879
O: 0.629 0.749 0.501
O: 0.863 0.498 0.994
O: 0.863 0.869 0.365
O: 0.888 0.888 0.000

Computed properties:
formation energy from the elements: -236.1 kJ/mol of atoms
raw total energy: -7.71 eV/atom

***

(4)
A geometry-optimized LiNiBO3 structure. Source: Materials Project, functional PBE+U.

Unit cell a=3.125 b=14.083 c=14.086 alpha=60.07 beta=89.50 gamma=89.30
Fractional positions:
Li: 0.000 0.000 0.000
Li: 0.000 0.343 0.627
Li: 0.019 0.010 0.309
Li: 0.027 0.675 0.972
Li: 0.030 0.706 0.316
Li: 0.052 0.337 0.330
Li: 0.953 0.357 0.982
Li: 0.986 0.030 0.646
Li: 0.995 0.654 0.679
Ni: 0.446 0.152 0.075
Ni: 0.458 0.438 0.756
Ni: 0.474 0.806 0.756
Ni: 0.505 0.102 0.422
Ni: 0.510 0.115 0.778
Ni: 0.510 0.784 0.454
Ni: 0.538 0.783 0.087
Ni: 0.552 0.483 0.411
Ni: 0.555 0.450 0.124
B: 0.052 0.577 0.206
B: 0.494 0.906 0.209
B: 0.500 0.901 0.874
B: 0.504 0.237 0.533
B: 0.507 0.235 0.207
B: 0.511 0.560 0.879
B: 0.518 0.568 0.541
B: 0.971 0.233 0.866
B: 0.991 0.893 0.550
O: 0.000 0.803 0.535
O: 0.007 0.997 0.460
O: 0.009 0.143 0.851
O: 0.044 0.682 0.116
O: 0.054 0.488 0.191
O: 0.055 0.562 0.310
O: 0.401 0.001 0.111
O: 0.428 0.138 0.537
O: 0.443 0.283 0.096
O: 0.452 0.463 0.558
O: 0.453 0.657 0.781
O: 0.461 0.981 0.764
O: 0.469 0.461 0.883
O: 0.498 0.931 0.954
O: 0.510 0.122 0.271
O: 0.528 0.910 0.306
O: 0.538 0.239 0.630
O: 0.542 0.334 0.433
O: 0.542 0.792 0.903
O: 0.546 0.807 0.212
O: 0.551 0.584 0.630
O: 0.551 0.655 0.435
O: 0.568 0.298 0.255
O: 0.616 0.564 0.973
O: 0.944 0.218 0.970
O: 0.961 0.337 0.776
O: 0.971 0.879 0.655

Computed properties:
formation energy from the elements: -206.7 kJ/mol of atoms
distance to the lowest polymorph of the same formula: 73.4 meV/atom
raw total energy: -6.24 eV/atom

***

(5)
A geometry-optimized Li2CoSiO4 structure. Source: Materials Project, functional PBE+U.

Unit cell a=10.751 b=6.281 c=5.028 alpha=90.00 beta=90.00 gamma=90.00
Fractional positions:
Li: 0.087 0.249 0.000
Li: 0.170 0.505 0.501
Li: 0.330 0.005 0.001
Li: 0.413 0.749 0.500
Li: 0.587 0.251 0.000
Li: 0.670 0.995 0.501
Li: 0.830 0.495 0.001
Li: 0.913 0.751 0.500
Co: 0.085 0.760 0.003
Co: 0.415 0.260 0.503
Co: 0.585 0.740 0.003
Co: 0.915 0.240 0.503
Si: 0.167 0.005 0.506
Si: 0.333 0.505 0.006
Si: 0.667 0.495 0.506
Si: 0.833 0.995 0.006
O: 0.094 0.222 0.400
O: 0.095 0.787 0.401
O: 0.167 0.005 0.834
O: 0.187 0.507 0.899
O: 0.313 0.007 0.399
O: 0.333 0.505 0.334
O: 0.405 0.287 0.901
O: 0.406 0.722 0.900
O: 0.594 0.278 0.400
O: 0.595 0.713 0.401
O: 0.667 0.495 0.834
O: 0.687 0.993 0.899
O: 0.813 0.493 0.399
O: 0.833 0.995 0.334
O: 0.905 0.213 0.901
O: 0.906 0.778 0.900

Computed properties:
formation energy from the elements: -241.1 kJ/mol of atoms
distance to the lowest polymorph of the same formula: 15.5 meV/atom
raw total energy: -6.47 eV/atom

***

(6)
A geometry-optimized Li4Ti3Cr3Cu2O16 structure. Source: Materials Project, functional PBE+U.

Unit cell a=5.800 b=5.807 c=9.745 alpha=89.81 beta=89.84 gamma=60.42
Fractional positions:
Li: 0.000 0.000 0.000
Li: 0.002 0.006 0.502
Li: 0.331 0.328 0.603
Li: 0.663 0.666 0.103
Ti: 0.166 0.662 0.284
Ti: 0.660 0.166 0.282
Ti: 0.838 0.816 0.774
Cr: 0.166 0.170 0.284
Cr: 0.340 0.825 0.787
Cr: 0.817 0.335 0.791
Cu: 0.331 0.336 0.003
Cu: 0.664 0.665 0.506
O: 0.000 0.001 0.182
O: 0.000 0.002 0.685
O: 0.030 0.476 0.170
O: 0.153 0.158 0.886
O: 0.161 0.680 0.893
O: 0.317 0.847 0.392
O: 0.332 0.334 0.396
O: 0.475 0.033 0.169
O: 0.481 0.484 0.168
O: 0.510 0.962 0.670
O: 0.515 0.513 0.676
O: 0.665 0.664 0.895
O: 0.677 0.165 0.893
O: 0.840 0.842 0.393
O: 0.845 0.319 0.392
O: 0.963 0.510 0.668

Computed properties:
formation energy from the elements: -227.9 kJ/mol of atoms
raw total energy: -7.03 eV/atom

***

(7)
A geometry-optimized Li2MnP4O12 structure. Source: Materials Project, functional PBE+U.

Unit cell a=5.001 b=7.113 c=7.534 alpha=66.21 beta=83.77 gamma=72.01
Fractional positions:
Li: 0.035 0.260 0.050
Li: 0.965 0.740 0.950
Mn: 0.000 0.000 0.500
P: 0.435 0.399 0.282
P: 0.437 0.194 0.711
P: 0.563 0.806 0.289
P: 0.565 0.601 0.718
O: 0.214 0.144 0.853
O: 0.223 0.456 0.130
O: 0.275 0.752 0.717
O: 0.294 0.299 0.493
O: 0.296 0.981 0.286
O: 0.465 0.614 0.285
O: 0.535 0.386 0.715
O: 0.704 0.019 0.714
O: 0.706 0.701 0.507
O: 0.725 0.248 0.283
O: 0.777 0.544 0.870
O: 0.786 0.856 0.147

Computed properties:
formation energy from the elements: -251.2 kJ/mol of atoms
distance to the lowest polymorph of the same formula: 42.2 meV/atom
raw total energy: -7.03 eV/atom

***

(8)
A geometry-optimized FeOF structure. Source: Materials Project, functional PBE+U.

Unit cell a=14.219 b=3.105 c=14.274 alpha=90.00 beta=90.24 gamma=90.00
Fractional positions:
Fe: 0.000 0.000 0.000
Fe: 0.000 0.000 0.330
Fe: 0.143 0.500 0.166
Fe: 0.144 0.500 0.496
Fe: 0.147 0.500 0.838
Fe: 0.337 0.000 0.664
Fe: 0.338 0.000 0.327
Fe: 0.340 0.000 0.003
Fe: 0.476 0.500 0.496
Fe: 0.476 0.500 0.833
Fe: 0.487 0.500 0.165
Fe: 0.652 0.000 0.016
Fe: 0.652 0.000 0.313
Fe: 0.666 0.000 0.664
Fe: 0.809 0.500 0.164
Fe: 0.815 0.500 0.506
Fe: 0.816 0.500 0.825
Fe: 0.987 0.000 0.643
O: 0.051 0.500 0.396
O: 0.053 0.500 0.059
O: 0.086 0.000 0.890
O: 0.089 0.000 0.227
O: 0.095 0.000 0.563
O: 0.384 0.500 0.064
O: 0.385 0.500 0.729
O: 0.386 0.500 0.395
O: 0.422 0.000 0.226
O: 0.425 0.000 0.561
O: 0.425 0.000 0.895
O: 0.550 0.000 0.098
O: 0.589 0.500 0.267
O: 0.721 0.500 0.730
O: 0.723 0.500 0.057
O: 0.752 0.000 0.559
O: 0.760 0.000 0.228
O: 0.921 0.500 0.596
F: 0.052 0.500 0.727
F: 0.215 0.000 0.763
F: 0.218 0.000 0.096
F: 0.220 0.000 0.430
F: 0.253 0.500 0.263
F: 0.254 0.500 0.929
F: 0.257 0.500 0.597
F: 0.554 0.000 0.762
F: 0.558 0.000 0.436
F: 0.590 0.500 0.601
F: 0.595 0.500 0.926
F: 0.722 0.500 0.394
F: 0.758 0.000 0.895
F: 0.883 0.000 0.427
F: 0.889 0.000 0.095
F: 0.892 0.000 0.768
F: 0.917 0.500 0.929
F: 0.923 0.500 0.263

Computed properties:
formation energy from the elements: -195.8 kJ/mol of atoms
raw total energy: -6.01 eV/atom

***

Q: Which of these has the highest formation energy from the elements?
A: FeOF

***

Q: Among the records above, which one has the highest raw total energy?
A: CsMg6WO8

***

Copy entry 6 word for word.
A geometry-optimized Li4Ti3Cr3Cu2O16 structure. Source: Materials Project, functional PBE+U.

Unit cell a=5.800 b=5.807 c=9.745 alpha=89.81 beta=89.84 gamma=60.42
Fractional positions:
Li: 0.000 0.000 0.000
Li: 0.002 0.006 0.502
Li: 0.331 0.328 0.603
Li: 0.663 0.666 0.103
Ti: 0.166 0.662 0.284
Ti: 0.660 0.166 0.282
Ti: 0.838 0.816 0.774
Cr: 0.166 0.170 0.284
Cr: 0.340 0.825 0.787
Cr: 0.817 0.335 0.791
Cu: 0.331 0.336 0.003
Cu: 0.664 0.665 0.506
O: 0.000 0.001 0.182
O: 0.000 0.002 0.685
O: 0.030 0.476 0.170
O: 0.153 0.158 0.886
O: 0.161 0.680 0.893
O: 0.317 0.847 0.392
O: 0.332 0.334 0.396
O: 0.475 0.033 0.169
O: 0.481 0.484 0.168
O: 0.510 0.962 0.670
O: 0.515 0.513 0.676
O: 0.665 0.664 0.895
O: 0.677 0.165 0.893
O: 0.840 0.842 0.393
O: 0.845 0.319 0.392
O: 0.963 0.510 0.668

Computed properties:
formation energy from the elements: -227.9 kJ/mol of atoms
raw total energy: -7.03 eV/atom